DFT (PBE) results for an optimized crystal structure of Na6Mg3Si2GeS4O24.

Cell lengths 8.896, 8.930, 22.101 Å; angles 88.73, 89.19, 60.31 degrees
Element x y z (fractional)
1 Na 0.000 0.000 0.000
2 Na 0.002 0.632 0.246
3 Na 0.018 0.626 0.754
4 Na 0.028 0.314 0.174
5 Na 0.310 0.302 0.673
6 Na 0.333 0.336 0.328
7 Na 0.336 0.591 0.840
8 Na 0.350 0.956 0.580
9 Na 0.365 0.947 0.090
10 Na 0.385 0.279 0.998
11 Na 0.640 0.634 0.011
12 Na 0.664 0.304 0.920
13 Na 0.676 0.317 0.421
14 Na 0.677 0.669 0.659
15 Na 0.700 0.981 0.840
16 Na 0.727 0.587 0.332
17 Na 0.974 0.981 0.333
18 Na 0.991 0.292 0.496
19 Mg 0.004 0.628 0.402
20 Mg 0.013 0.634 0.899
21 Mg 0.332 0.982 0.734
22 Mg 0.350 0.969 0.229
23 Mg 0.662 0.318 0.067
24 Mg 0.668 0.314 0.564
25 Mg 0.672 0.300 0.770
26 Mg 0.689 0.312 0.263
27 Mg 0.989 0.650 0.594
28 Si 0.055 0.260 0.333
29 Si 0.295 0.643 0.998
30 Si 0.332 0.269 0.831
31 Si 0.675 0.609 0.164
32 Si 0.699 0.645 0.498
33 Si 0.715 0.935 0.995
34 Ge 0.344 0.962 0.434
35 Ge 0.358 0.968 0.938
36 Ge 0.983 0.676 0.100
37 S 0.010 0.931 0.498
38 S 0.011 0.343 0.000
39 S 0.050 0.976 0.833
40 S 0.305 0.342 0.500
41 S 0.338 0.683 0.334
42 S 0.377 0.601 0.667
43 S 0.378 0.309 0.167
44 S 0.631 0.974 0.333
45 S 0.632 0.679 0.832
46 S 0.679 0.010 0.667
47 S 0.968 0.009 0.166
48 S 0.968 0.302 0.666
49 O 0.026 0.822 0.837
50 O 0.038 0.451 0.338
51 O 0.038 0.822 0.552
52 O 0.048 0.415 0.054
53 O 0.128 0.997 0.890
54 O 0.139 0.995 0.171
55 O 0.143 0.148 0.670
56 O 0.156 0.126 0.396
57 O 0.157 0.686 0.058
58 O 0.165 0.944 0.781
59 O 0.167 0.461 0.836
60 O 0.169 0.955 0.495
61 O 0.171 0.166 0.994
62 O 0.175 0.168 0.275
63 O 0.178 0.672 0.344
64 O 0.195 0.423 0.555
65 O 0.204 0.469 0.162
66 O 0.205 0.615 0.661
67 O 0.217 0.607 0.939
68 O 0.228 0.447 0.445
69 O 0.307 0.829 0.990
70 O 0.308 0.171 0.496
71 O 0.311 0.792 0.281
72 O 0.318 0.180 0.771
73 O 0.349 0.159 0.171
74 O 0.364 0.775 0.673
75 O 0.372 0.130 0.893
76 O 0.380 0.756 0.389
77 O 0.456 0.496 0.724
78 O 0.462 0.325 0.222
79 O 0.481 0.313 0.507
80 O 0.483 0.285 0.112
81 O 0.488 0.483 0.006
82 O 0.489 0.506 0.329
83 O 0.490 0.518 0.615
84 O 0.500 0.829 0.488
85 O 0.511 0.798 0.171
86 O 0.513 0.280 0.833
87 O 0.517 0.948 0.995
88 O 0.518 0.005 0.389
89 O 0.519 0.755 0.889
90 O 0.521 0.987 0.671
91 O 0.549 0.787 0.778
92 O 0.555 0.938 0.282
93 O 0.641 0.135 0.327
94 O 0.648 0.507 0.828
95 O 0.651 0.124 0.614
96 O 0.663 0.514 0.105
97 O 0.686 0.469 0.504
98 O 0.694 0.123 0.006
99 O 0.697 0.089 0.723
100 O 0.730 0.489 0.225
101 O 0.770 0.683 0.561
102 O 0.796 0.803 0.055
103 O 0.801 0.670 0.839
104 O 0.809 0.827 0.341
105 O 0.819 0.613 0.439
106 O 0.823 0.851 0.935
107 O 0.834 0.835 0.663
108 O 0.856 0.330 0.719
109 O 0.857 0.106 0.505
110 O 0.861 0.315 0.006
111 O 0.864 0.082 0.222
112 O 0.864 0.272 0.335
113 O 0.875 0.612 0.156
114 O 0.878 0.132 0.827
115 O 0.884 0.113 0.111
116 O 0.887 0.285 0.610
117 O 0.979 0.455 0.946
118 O 0.987 0.830 0.162
119 O 0.991 0.459 0.661
120 O 0.993 0.854 0.443

Summary:
Energy relative to the elements in meV/atom: -2377
Space group: P1, No. 1
Calculated density in g/cm3: 2.78